Na3Ca4Ta8P15S3O72: relaxed, GGA-PBE.

## Properties
ΔE_f, meV/atom: -2890
Symmetry: P1
Size of the total moment, μB per formula unit: 0.00

Cell lengths 8.879, 8.885, 23.055 Å; angles 89.91, 89.85, 60.12 degrees
Fractional positions:
Na 0.000 0.000 0.000
Na 0.003 0.001 0.502
Na 0.343 0.341 0.652
Ca 0.002 0.006 0.147
Ca 0.003 0.003 0.640
Ca 0.341 0.341 0.515
Ca 0.670 0.677 0.964
Ta 0.000 0.009 0.847
Ta 0.003 0.007 0.343
Ta 0.329 0.346 0.016
Ta 0.335 0.345 0.311
Ta 0.336 0.343 0.808
Ta 0.662 0.682 0.686
Ta 0.662 0.683 0.469
Ta 0.679 0.674 0.184
P 0.002 0.714 0.745
P 0.007 0.303 0.245
P 0.042 0.639 0.411
P 0.061 0.325 0.910
P 0.292 0.012 0.745
P 0.301 0.710 0.244
P 0.319 0.632 0.910
P 0.328 0.052 0.411
P 0.389 0.676 0.578
P 0.623 0.070 0.910
P 0.635 0.338 0.411
P 0.668 0.955 0.578
P 0.702 0.014 0.245
P 0.710 0.302 0.745
P 0.960 0.673 0.075
S 0.384 0.969 0.077
S 0.660 0.390 0.077
S 0.943 0.401 0.578
O 0.000 0.818 0.083
O 0.009 0.824 0.393
O 0.051 0.202 0.190
O 0.053 0.154 0.902
O 0.054 0.772 0.692
O 0.112 0.393 0.579
O 0.136 0.517 0.359
O 0.141 0.494 0.068
O 0.148 0.581 0.465
O 0.148 0.812 0.902
O 0.152 0.528 0.761
O 0.154 0.338 0.264
O 0.162 0.337 0.857
O 0.177 0.300 0.965
O 0.178 0.017 0.393
O 0.186 0.059 0.691
O 0.194 0.768 0.191
O 0.198 0.982 0.798
O 0.205 0.007 0.084
O 0.206 0.838 0.296
O 0.221 0.845 0.574
O 0.281 0.155 0.465
O 0.293 0.542 0.966
O 0.330 0.522 0.857
O 0.331 0.160 0.760
O 0.332 0.529 0.264
O 0.358 0.145 0.359
O 0.379 0.142 0.070
O 0.383 0.509 0.582
O 0.461 0.866 0.025
O 0.475 0.846 0.738
O 0.477 0.650 0.913
O 0.483 0.694 0.233
O 0.492 0.882 0.130
O 0.493 0.382 0.070
O 0.494 0.867 0.417
O 0.496 0.675 0.634
O 0.498 0.123 0.581
O 0.498 0.671 0.522
O 0.510 0.368 0.359
O 0.514 0.170 0.857
O 0.521 0.161 0.264
O 0.522 0.339 0.760
O 0.535 0.185 0.966
O 0.578 0.287 0.465
O 0.637 0.499 0.131
O 0.639 0.895 0.912
O 0.653 0.502 0.418
O 0.669 0.849 0.522
O 0.673 0.847 0.633
O 0.681 0.471 0.025
O 0.686 0.846 0.235
O 0.693 0.484 0.737
O 0.759 0.060 0.191
O 0.768 0.194 0.691
O 0.805 0.059 0.902
O 0.805 0.214 0.084
O 0.819 0.185 0.392
O 0.830 0.977 0.296
O 0.832 0.206 0.798
O 0.834 0.961 0.573
O 0.838 0.487 0.235
O 0.838 0.697 0.737
O 0.847 0.495 0.524
O 0.849 0.498 0.632
O 0.853 0.692 0.024
O 0.859 0.657 0.418
O 0.863 0.651 0.132
O 0.886 0.481 0.912
O 0.951 0.233 0.576
O 0.972 0.210 0.296
O 0.973 0.839 0.799

=====

Na9Ca10Ta2P3S15O72: relaxed, GGA-PBE.

## Properties
ΔE_f, meV/atom: -2528
Symmetry: P1
Size of the total moment, μB per formula unit: 0.00

Cell lengths 9.153, 9.178, 23.940 Å; angles 89.83, 89.81, 60.16 degrees
Fractional positions:
Na 0.000 0.000 0.000
Na 0.004 0.992 0.499
Na 0.028 0.658 0.074
Na 0.318 0.337 0.660
Na 0.329 0.316 0.160
Na 0.618 0.993 0.250
Na 0.656 0.666 0.332
Na 0.665 0.021 0.574
Na 0.678 0.655 0.832
Ca 0.006 0.992 0.644
Ca 0.007 0.999 0.144
Ca 0.326 0.329 0.813
Ca 0.330 0.324 0.314
Ca 0.333 0.326 0.507
Ca 0.335 0.323 0.006
Ca 0.654 0.654 0.182
Ca 0.666 0.659 0.977
Ca 0.666 0.660 0.477
Ca 0.667 0.652 0.682
Ta 0.004 0.991 0.347
Ta 0.999 0.986 0.847
P 0.029 0.630 0.911
P 0.293 0.992 0.248
P 0.643 0.020 0.408
S 0.029 0.317 0.409
S 0.287 0.705 0.748
S 0.324 0.023 0.908
S 0.324 0.634 0.408
S 0.364 0.655 0.078
S 0.371 0.956 0.579
S 0.642 0.315 0.908
S 0.664 0.358 0.579
S 0.666 0.956 0.081
S 0.711 0.991 0.747
S 0.714 0.276 0.249
S 0.963 0.364 0.078
S 0.963 0.658 0.580
S 0.998 0.279 0.749
S 0.999 0.706 0.247
O 0.012 0.816 0.895
O 0.013 0.187 0.697
O 0.014 0.781 0.195
O 0.015 0.157 0.399
O 0.109 0.342 0.360
O 0.123 0.520 0.861
O 0.127 0.577 0.966
O 0.131 0.280 0.460
O 0.133 0.354 0.075
O 0.135 0.510 0.575
O 0.146 0.539 0.255
O 0.150 0.295 0.754
O 0.163 0.008 0.897
O 0.166 0.810 0.398
O 0.181 0.986 0.300
O 0.183 0.817 0.799
O 0.189 0.805 0.081
O 0.192 0.782 0.698
O 0.195 0.006 0.196
O 0.199 0.979 0.582
O 0.285 0.124 0.959
O 0.285 0.571 0.460
O 0.304 0.538 0.755
O 0.318 0.145 0.253
O 0.342 0.503 0.075
O 0.344 0.532 0.359
O 0.349 0.104 0.859
O 0.362 0.125 0.575
O 0.447 0.672 0.028
O 0.450 0.700 0.751
O 0.452 0.858 0.528
O 0.460 0.640 0.129
O 0.464 0.852 0.914
O 0.468 0.661 0.414
O 0.468 0.830 0.252
O 0.473 0.874 0.630
O 0.511 0.335 0.576
O 0.517 0.127 0.076
O 0.537 0.107 0.357
O 0.538 0.336 0.859
O 0.546 0.141 0.755
O 0.547 0.291 0.256
O 0.581 0.123 0.463
O 0.582 0.275 0.959
O 0.649 0.454 0.630
O 0.649 0.879 0.134
O 0.670 0.459 0.914
O 0.675 0.840 0.413
O 0.681 0.439 0.528
O 0.684 0.850 0.032
O 0.705 0.440 0.249
O 0.705 0.834 0.750
O 0.788 0.007 0.695
O 0.789 0.178 0.198
O 0.814 0.183 0.582
O 0.819 0.158 0.897
O 0.824 0.178 0.299
O 0.826 0.964 0.083
O 0.826 0.982 0.797
O 0.827 0.003 0.395
O 0.837 0.704 0.249
O 0.842 0.443 0.751
O 0.847 0.667 0.914
O 0.857 0.457 0.415
O 0.861 0.679 0.529
O 0.865 0.447 0.028
O 0.881 0.464 0.129
O 0.882 0.641 0.631
O 0.971 0.818 0.583
O 0.985 0.193 0.081
O 0.986 0.820 0.297
O 0.990 0.176 0.799

=====

Na3Ca2Ta2P5SO24: relaxed, GGA-PBE.

## Properties
ΔE_f, meV/atom: -2813
Symmetry: P1
Size of the total moment, μB per formula unit: 0.00

Cell lengths 9.045, 9.050, 22.717 Å; angles 89.58, 89.68, 60.23 degrees
Fractional positions:
Na 0.000 0.000 0.000
Na 0.000 0.303 0.500
Na 0.026 0.652 0.245
Na 0.041 0.622 0.748
Na 0.355 0.978 0.411
Na 0.359 0.989 0.911
Na 0.665 0.311 0.580
Na 0.670 0.666 0.333
Na 0.672 0.323 0.082
Ca 0.018 0.634 0.109
Ca 0.025 0.638 0.610
Ca 0.348 0.979 0.274
Ca 0.349 0.974 0.776
Ca 0.683 0.298 0.441
Ca 0.683 0.311 0.941
Ta 0.026 0.642 0.403
Ta 0.029 0.635 0.903
Ta 0.352 0.963 0.568
Ta 0.358 0.965 0.069
Ta 0.690 0.300 0.736
Ta 0.696 0.302 0.237
P 0.036 0.924 0.506
P 0.041 0.333 0.006
P 0.051 0.255 0.672
P 0.051 0.987 0.172
P 0.309 0.333 0.506
P 0.312 0.650 0.007
P 0.375 0.664 0.675
P 0.386 0.320 0.839
P 0.390 0.589 0.338
P 0.642 0.666 0.176
P 0.706 0.998 0.338
P 0.722 0.654 0.505
P 0.723 0.920 0.005
P 0.976 0.998 0.842
P 0.980 0.320 0.342
S 0.378 0.256 0.170
S 0.638 0.989 0.672
S 0.711 0.590 0.836
O 0.005 0.439 0.664
O 0.006 0.852 0.561
O 0.012 0.433 0.060
O 0.014 0.843 0.166
O 0.054 0.808 0.450
O 0.059 0.434 0.949
O 0.150 0.006 0.114
O 0.151 0.137 0.614
O 0.153 0.970 0.225
O 0.157 0.959 0.833
O 0.159 0.173 0.724
O 0.160 0.180 0.333
O 0.186 0.437 0.450
O 0.188 0.675 0.951
O 0.208 0.495 0.843
O 0.214 0.593 0.345
O 0.217 0.158 0.011
O 0.217 0.919 0.511
O 0.224 0.433 0.560
O 0.229 0.630 0.061
O 0.230 0.629 0.668
O 0.239 0.429 0.163
O 0.303 0.159 0.508
O 0.306 0.831 0.010
O 0.351 0.175 0.832
O 0.358 0.182 0.224
O 0.360 0.768 0.329
O 0.362 0.764 0.728
O 0.391 0.144 0.118
O 0.391 0.768 0.617
O 0.483 0.304 0.894
O 0.488 0.339 0.783
O 0.489 0.467 0.283
O 0.490 0.293 0.500
O 0.493 0.514 0.999
O 0.499 0.514 0.392
O 0.517 0.777 0.121
O 0.528 0.009 0.619
O 0.546 0.255 0.171
O 0.546 0.825 0.512
O 0.547 0.924 0.012
O 0.549 0.486 0.678
O 0.564 0.967 0.725
O 0.568 0.952 0.330
O 0.569 0.759 0.232
O 0.573 0.763 0.828
O 0.640 0.490 0.178
O 0.642 0.157 0.675
O 0.678 0.098 0.393
O 0.687 0.518 0.890
O 0.693 0.100 0.996
O 0.693 0.504 0.497
O 0.722 0.101 0.282
O 0.725 0.476 0.783
O 0.812 0.852 0.665
O 0.817 0.677 0.447
O 0.822 0.799 0.949
O 0.823 0.627 0.167
O 0.833 0.844 0.058
O 0.834 0.625 0.557
O 0.851 0.109 0.788
O 0.852 0.338 0.288
O 0.874 0.163 0.177
O 0.877 0.250 0.678
O 0.879 0.587 0.838
O 0.884 0.825 0.342
O 0.903 0.287 0.996
O 0.903 0.304 0.399
O 0.904 0.110 0.497
O 0.905 0.091 0.899
O 0.972 0.500 0.342
O 0.973 0.824 0.844

=====

Na9Ca8Ta4P9S9O72: relaxed, GGA-PBE.

## Properties
ΔE_f, meV/atom: -2684
Symmetry: P1
Size of the total moment, μB per formula unit: 0.00

Cell lengths 9.121, 9.126, 23.308 Å; angles 89.99, 89.83, 60.10 degrees
Fractional positions:
Na 0.000 0.000 0.000
Na 0.004 0.993 0.501
Na 0.013 0.367 0.752
Na 0.324 0.347 0.166
Na 0.343 0.311 0.667
Na 0.361 0.628 0.751
Na 0.366 0.007 0.251
Na 0.668 0.688 0.838
Na 0.694 0.638 0.337
Ca 0.003 0.992 0.644
Ca 0.332 0.337 0.315
Ca 0.341 0.321 0.817
Ca 0.666 0.684 0.683
Ca 0.669 0.664 0.479
Ca 0.671 0.662 0.979
Ca 0.689 0.640 0.183
Ca 0.998 0.001 0.144
Ta 0.009 0.986 0.855
Ta 0.334 0.332 0.507
Ta 0.337 0.327 0.007
Ta 0.999 0.005 0.356
P 0.000 0.706 0.751
P 0.001 0.285 0.251
P 0.043 0.318 0.911
P 0.044 0.634 0.412
P 0.289 0.994 0.750
P 0.328 0.038 0.411
P 0.330 0.628 0.911
P 0.635 0.322 0.412
P 0.641 0.036 0.913
S 0.289 0.715 0.251
S 0.368 0.648 0.579
S 0.368 0.978 0.079
S 0.654 0.361 0.077
S 0.654 0.982 0.576
S 0.717 0.991 0.252
S 0.718 0.285 0.751
S 0.985 0.361 0.579
S 0.987 0.649 0.077
O 0.014 0.182 0.198
O 0.014 0.187 0.581
O 0.014 0.794 0.699
O 0.018 0.792 0.081
O 0.040 0.145 0.909
O 0.041 0.809 0.408
O 0.111 0.343 0.855
O 0.119 0.533 0.359
O 0.154 0.034 0.408
O 0.156 0.805 0.910
O 0.159 0.347 0.568
O 0.160 0.488 0.067
O 0.163 0.531 0.755
O 0.164 0.293 0.254
O 0.171 0.530 0.466
O 0.175 0.296 0.962
O 0.180 0.987 0.806
O 0.185 0.012 0.698
O 0.187 0.821 0.303
O 0.194 0.007 0.081
O 0.194 0.792 0.580
O 0.195 0.795 0.199
O 0.303 0.169 0.462
O 0.307 0.522 0.962
O 0.308 0.151 0.754
O 0.319 0.543 0.254
O 0.351 0.107 0.355
O 0.351 0.540 0.855
O 0.354 0.153 0.068
O 0.356 0.487 0.568
O 0.451 0.719 0.252
O 0.456 0.823 0.753
O 0.457 0.620 0.634
O 0.458 0.918 0.135
O 0.460 0.667 0.531
O 0.460 0.868 0.032
O 0.468 0.863 0.424
O 0.470 0.664 0.924
O 0.493 0.154 0.567
O 0.493 0.350 0.067
O 0.534 0.297 0.466
O 0.536 0.162 0.966
O 0.539 0.343 0.359
O 0.543 0.110 0.859
O 0.543 0.319 0.755
O 0.546 0.141 0.255
O 0.624 0.457 0.131
O 0.624 0.919 0.631
O 0.673 0.461 0.424
O 0.674 0.860 0.925
O 0.677 0.874 0.528
O 0.678 0.445 0.028
O 0.700 0.837 0.254
O 0.716 0.451 0.751
O 0.795 0.192 0.698
O 0.796 0.186 0.081
O 0.797 0.014 0.580
O 0.800 0.999 0.200
O 0.813 0.147 0.408
O 0.816 0.035 0.909
O 0.822 0.188 0.803
O 0.822 0.984 0.304
O 0.839 0.457 0.255
O 0.844 0.684 0.754
O 0.869 0.462 0.925
O 0.869 0.666 0.425
O 0.875 0.453 0.531
O 0.880 0.671 0.028
O 0.922 0.617 0.131
O 0.924 0.451 0.634
O 0.991 0.821 0.806
O 0.994 0.175 0.306

=====

no.,theoretical density (g/cm³)
1,3.569
2,2.566
3,3.339
4,2.933